*one*
An optimized crystal structure of B4C. Source: the Materials Project, functional meta-GGA r2SCAN.

Output
V	110.65	Å³ per cell
space-group type	R-3m
crystal system	trigonal

Cell lengths 5.176, 5.176, 5.176 Å; angles 65.95, 65.95, 65.95 degrees
Fractional positions:
B  0.006  0.006  0.330
B  0.006  0.330  0.006
B  0.194  0.194  0.691
B  0.194  0.691  0.194
B  0.309  0.806  0.806
B  0.330  0.006  0.006
B  0.670  0.994  0.994
B  0.691  0.194  0.194
B  0.806  0.309  0.806
B  0.806  0.806  0.309
B  0.994  0.670  0.994
B  0.994  0.994  0.670
C  0.390  0.390  0.390
C  0.500  0.500  0.500
C  0.610  0.610  0.610

***

*two*
An optimized crystal structure of B4C. Source: the Materials Project, functional meta-GGA r2SCAN.

Output
V	108.29	Å³ per cell
space-group type	Cm
crystal system	monoclinic

Cell lengths 5.195, 5.195, 5.046 Å; angles 113.95, 113.95, 65.15 degrees
Fractional positions:
B  0.000  0.000  0.000
B  0.176  0.498  0.504
B  0.189  0.697  0.294
B  0.304  0.818  0.690
B  0.311  0.311  0.177
B  0.498  0.176  0.504
B  0.507  0.832  0.484
B  0.509  0.509  0.152
B  0.694  0.694  0.808
B  0.697  0.189  0.294
B  0.818  0.304  0.690
B  0.832  0.507  0.484
C  0.121  0.121  0.885
C  0.497  0.497  0.814
C  0.876  0.876  0.107

***

The structure with the greatest stability is *two*.

***

*one*
An optimized crystal structure of LaCeB12. Source: the Materials Project, functional meta-GGA r2SCAN.

Output
V	141.86	Å³ per cell
space-group type	Fm-3m
crystal system	cubic

Cell lengths 5.854, 5.854, 5.854 Å; angles 60.00, 60.00, 60.00 degrees
Fractional positions:
La  0.000  0.000  0.000
Ce  0.500  0.500  0.500
B  0.100  0.100  0.400
B  0.100  0.400  0.100
B  0.100  0.400  0.400
B  0.400  0.100  0.100
B  0.400  0.100  0.400
B  0.400  0.400  0.100
B  0.600  0.600  0.900
B  0.600  0.900  0.600
B  0.600  0.900  0.900
B  0.900  0.600  0.600
B  0.900  0.600  0.900
B  0.900  0.900  0.600

***

*two*
An optimized crystal structure of LaCeB12. Source: the Materials Project, functional meta-GGA r2SCAN.

Output
V	141.98	Å³ per cell
space-group type	P4/mmm
crystal system	tetragonal

Cell lengths 4.140, 4.140, 8.284 Å; angles 90.00, 90.00, 90.00 degrees
Fractional positions:
La  0.000  0.000  0.000
Ce  0.000  0.000  0.500
B  0.200  0.500  0.251
B  0.200  0.500  0.749
B  0.500  0.200  0.251
B  0.500  0.200  0.749
B  0.500  0.500  0.100
B  0.500  0.500  0.401
B  0.500  0.500  0.599
B  0.500  0.500  0.900
B  0.500  0.800  0.251
B  0.500  0.800  0.749
B  0.800  0.500  0.251
B  0.800  0.500  0.749

***

The structure with the greatest stability is *two*.

***

*one*
An optimized crystal structure of CrB4. Source: the Materials Project, functional meta-GGA r2SCAN.

Output
V	72.95	Å³ per cell
space-group type	Pnnm
crystal system	orthorhombic

Cell lengths 4.706, 5.447, 2.846 Å; angles 90.00, 90.00, 90.00 degrees
Fractional positions:
Cr  0.000  0.000  0.000
Cr  0.500  0.500  0.500
B  0.163  0.368  0.000
B  0.225  0.680  0.000
B  0.275  0.180  0.500
B  0.337  0.868  0.500
B  0.663  0.132  0.500
B  0.725  0.820  0.500
B  0.775  0.320  0.000
B  0.837  0.632  0.000

***

*two*
An optimized crystal structure of CrB4. Source: the Materials Project, functional meta-GGA r2SCAN.

Output
V	36.82	Å³ per cell
space-group type	Immm
crystal system	orthorhombic

Cell lengths 3.884, 3.884, 3.884 Å; angles 136.95, 104.92, 90.67 degrees
Fractional positions:
Cr  0.000  0.000  0.000
B  0.146  0.342  0.804
B  0.462  0.658  0.804
B  0.538  0.342  0.196
B  0.854  0.658  0.196

***

The structure with the greatest stability is *one*.

***

*one*
An optimized crystal structure of LaB3O6. Source: the Materials Project, functional meta-GGA r2SCAN.

Output
V	363.67	Å³ per cell
space-group type	P2_1/c
crystal system	monoclinic

Cell lengths 4.242, 11.741, 7.304 Å; angles 90.00, 91.17, 90.00 degrees
Fractional positions:
La  0.219  0.124  0.381
La  0.219  0.376  0.881
La  0.781  0.624  0.119
La  0.781  0.876  0.619
B  0.195  0.094  0.874
B  0.195  0.406  0.374
B  0.311  0.622  0.427
B  0.311  0.878  0.927
B  0.324  0.666  0.789
B  0.324  0.834  0.289
B  0.676  0.166  0.711
B  0.676  0.334  0.211
B  0.689  0.122  0.073
B  0.689  0.378  0.573
B  0.805  0.594  0.626
B  0.805  0.906  0.126
O  0.154  0.627  0.610
O  0.154  0.873  0.110
O  0.207  0.524  0.318
O  0.207  0.976  0.818
O  0.221  0.716  0.308
O  0.221  0.784  0.808
O  0.250  0.590  0.937
O  0.250  0.910  0.437
O  0.332  0.168  0.736
O  0.332  0.332  0.236
O  0.349  0.120  0.047
O  0.349  0.380  0.546
O  0.651  0.620  0.453
O  0.651  0.880  0.954
O  0.668  0.668  0.764
O  0.668  0.832  0.264
O  0.750  0.090  0.563
O  0.750  0.410  0.063
O  0.779  0.216  0.192
O  0.779  0.284  0.692
O  0.793  0.024  0.182
O  0.793  0.476  0.682
O  0.846  0.127  0.890
O  0.846  0.373  0.390

***

*two*
An optimized crystal structure of LaB3O6. Source: the Materials Project, functional meta-GGA r2SCAN.

Output
V	210.81	Å³ per cell
space-group type	C2/c
crystal system	monoclinic

Cell lengths 6.437, 6.437, 6.490 Å; angles 117.68, 117.68, 78.90 degrees
Fractional positions:
La  0.200  0.800  0.750
La  0.800  0.200  0.250
B  0.204  0.342  0.918
B  0.222  0.778  0.250
B  0.342  0.204  0.418
B  0.658  0.796  0.582
B  0.778  0.222  0.750
B  0.796  0.658  0.082
O  0.009  0.779  0.285
O  0.210  0.584  0.010
O  0.213  0.382  0.502
O  0.221  0.991  0.215
O  0.382  0.213  0.002
O  0.416  0.790  0.490
O  0.584  0.210  0.510
O  0.618  0.787  0.998
O  0.779  0.009  0.785
O  0.787  0.618  0.498
O  0.790  0.416  0.990
O  0.991  0.221  0.715

***

The structure with the greatest stability is *one*.

***

*one*
An optimized crystal structure of MnB4. Source: the Materials Project, functional meta-GGA r2SCAN.

Output
V	36.36	Å³ per cell
space-group type	Immm
crystal system	orthorhombic

Cell lengths 3.826, 3.826, 3.826 Å; angles 134.68, 105.74, 91.47 degrees
Fractional positions:
Mn  0.000  0.000  0.000
B  0.137  0.341  0.797
B  0.456  0.659  0.797
B  0.544  0.341  0.203
B  0.863  0.659  0.203

***

*two*
An optimized crystal structure of MnB4. Source: the Materials Project, functional meta-GGA r2SCAN.

Output
V	142.99	Å³ per cell
space-group type	P2_1/c
crystal system	monoclinic

Cell lengths 5.422, 5.327, 5.455 Å; angles 90.00, 114.82, 90.00 degrees
Fractional positions:
Mn  0.229  0.001  0.222
Mn  0.229  0.499  0.722
Mn  0.771  0.501  0.278
Mn  0.771  0.999  0.778
B  0.135  0.687  0.362
B  0.135  0.813  0.862
B  0.171  0.130  0.824
B  0.171  0.370  0.324
B  0.337  0.629  0.158
B  0.337  0.871  0.658
B  0.371  0.181  0.626
B  0.371  0.319  0.126
B  0.629  0.681  0.874
B  0.629  0.819  0.374
B  0.663  0.129  0.342
B  0.663  0.371  0.842
B  0.829  0.630  0.676
B  0.829  0.870  0.176
B  0.865  0.187  0.138
B  0.865  0.313  0.638

***

*three*
An optimized crystal structure of MnB4. Source: the Materials Project, functional meta-GGA r2SCAN.

Output
V	71.93	Å³ per cell
space-group type	Pnnm
crystal system	orthorhombic

Cell lengths 4.593, 5.332, 2.937 Å; angles 90.00, 90.00, 90.00 degrees
Fractional positions:
Mn  0.000  0.000  0.000
Mn  0.500  0.500  0.500
B  0.165  0.370  0.000
B  0.236  0.684  0.000
B  0.264  0.184  0.500
B  0.335  0.870  0.500
B  0.665  0.130  0.500
B  0.736  0.816  0.500
B  0.764  0.316  0.000
B  0.835  0.630  0.000

***

The structure with the greatest stability is *three*.

***

*one*
An optimized crystal structure of BMo. Source: the Materials Project, functional meta-GGA r2SCAN.

Output
V	41.26	Å³ per cell
space-group type	Cmcm
crystal system	orthorhombic

Cell lengths 4.534, 4.534, 3.083 Å; angles 90.00, 90.00, 139.40 degrees
Fractional positions:
B  0.060  0.940  0.750
B  0.940  0.060  0.250
Mo  0.355  0.645  0.750
Mo  0.645  0.355  0.250

***

*two*
An optimized crystal structure of BMo. Source: the Materials Project, functional meta-GGA r2SCAN.

Output
V	82.49	Å³ per cell
space-group type	I4_1/amd
crystal system	tetragonal

Cell lengths 8.776, 8.776, 8.776 Å; angles 159.55, 159.55, 29.08 degrees
Fractional positions:
B  0.030  0.280  0.750
B  0.280  0.030  0.250
B  0.720  0.970  0.750
B  0.970  0.720  0.250
Mo  0.178  0.428  0.750
Mo  0.428  0.178  0.250
Mo  0.572  0.822  0.750
Mo  0.822  0.572  0.250

***

The structure with the greatest stability is *two*.